Record 1
DyCu4Pd (PBE, optimized geometry); formation energy from the elements = -35.05 kJ per mole of atoms; final energy = -28.363 eV/cell; ρ = 9.80 g/cm3
1.0
0.000 3.539 3.539
3.539 0.000 3.539
3.539 3.539 0.000
Dy Cu Pd
1 4 1
Direct
0.000 0.000 0.000
0.128 0.624 0.624
0.624 0.128 0.624
0.624 0.624 0.128
0.624 0.624 0.624
0.250 0.250 0.250



Record 2
PmDyCu2 (PBE, optimized geometry); formation energy from the elements = -19.23 kJ per mole of atoms; final energy = -18.353 eV/cell; ρ = 8.36 g/cm3
1.0
0.000 3.508 3.508
3.508 0.000 3.508
3.508 3.508 0.000
Pm Dy Cu
1 1 2
Direct
0.000 0.000 0.000
0.500 0.500 0.500
0.250 0.250 0.250
0.750 0.750 0.750



Record 3
Dy2CuPt (PBE, optimized geometry); formation energy from the elements = -73.48 kJ per mole of atoms; final energy = -22.430 eV/cell; ρ = 11.51 g/cm3
1.0
0.000 3.479 3.479
3.479 0.000 3.479
3.479 3.479 0.000
Dy Cu Pt
2 1 1
Direct
0.250 0.250 0.250
0.750 0.750 0.750
0.000 0.000 0.000
0.500 0.500 0.500



Record 4
Dy2CuRh (PBE, optimized geometry); formation energy from the elements = -54.47 kJ per mole of atoms; final energy = -22.935 eV/cell; ρ = 9.93 g/cm3
1.0
0.000 3.451 3.451
3.451 0.000 3.451
3.451 3.451 0.000
Dy Cu Rh
2 1 1
Direct
0.250 0.250 0.250
0.750 0.750 0.750
0.000 0.000 0.000
0.500 0.500 0.500



Record 5
Dy3CuSnS7 (PBE, optimized geometry); formation energy from the elements = -164.57 kJ per mole of atoms; total energy after the MP2020 corrections = -142.7 eV/cell; final energy = -135.662 eV/cell; ρ = 5.76 g/cm3
1.0
9.756 0.000 0.000
-4.878 8.449 0.000
0.000 0.000 6.258
Dy Cu Sn S
6 2 2 14
Direct
0.148 0.789 0.000
0.211 0.359 0.000
0.359 0.148 0.500
0.641 0.852 0.000
0.789 0.641 0.500
0.852 0.211 0.500
0.000 0.000 0.383
0.000 0.000 0.883
0.333 0.667 0.564
0.667 0.333 0.064
0.082 0.518 0.747
0.114 0.852 0.419
0.148 0.262 0.419
0.262 0.114 0.919
0.333 0.667 0.180
0.436 0.918 0.747
0.482 0.564 0.747
0.518 0.436 0.247
0.564 0.082 0.247
0.667 0.333 0.680
0.738 0.886 0.419
0.852 0.738 0.919
0.886 0.148 0.919
0.918 0.482 0.247



Record 6
DyCuSb2 (PBE, optimized geometry); formation energy from the elements = -67.79 kJ per mole of atoms; total energy after the MP2020 corrections = -39.5 eV/cell; final energy = -38.781 eV/cell; ρ = 8.52 g/cm3
1.0
4.320 0.000 0.000
0.000 4.320 0.000
0.000 0.000 9.808
Dy Cu Sb
2 2 4
Direct
0.250 0.250 0.249
0.750 0.750 0.751
0.250 0.750 0.500
0.750 0.250 0.500
0.250 0.250 0.662
0.250 0.750 0.000
0.750 0.250 0.000
0.750 0.750 0.338



Record 7
DyCuSb2 (PBE, optimized geometry); formation energy from the elements = -67.75 kJ per mole of atoms; total energy after the MP2020 corrections = -39.5 eV/cell; final energy = -38.777 eV/cell; ρ = 8.55 g/cm3
1.0
4.318 0.000 0.000
0.011 4.323 0.000
0.072 0.028 9.774
Dy Cu Sb
2 2 4
Direct
0.000 0.000 0.000
0.498 0.497 0.499
0.007 0.494 0.750
0.488 0.003 0.749
0.000 0.499 0.250
0.500 0.999 0.250
0.504 0.501 0.911
0.994 0.996 0.588



Record 8
Dy3Cu3Sb4 (PBE, optimized geometry); formation energy from the elements = -76.96 kJ per mole of atoms; total energy after the MP2020 corrections = -101.2 eV/cell; final energy = -99.684 eV/cell; ρ = 8.79 g/cm3
1.0
-4.791 4.791 4.791
4.791 -4.791 4.791
4.791 4.791 -4.791
Dy Cu Sb
6 6 8
Direct
0.125 0.875 0.250
0.250 0.125 0.875
0.375 0.625 0.750
0.625 0.750 0.375
0.750 0.375 0.625
0.875 0.250 0.125
0.125 0.750 0.875
0.250 0.625 0.375
0.375 0.250 0.625
0.625 0.375 0.250
0.750 0.875 0.125
0.875 0.125 0.750
0.000 0.160 0.500
0.000 0.660 0.500
0.160 0.500 0.000
0.340 0.340 0.340
0.500 0.000 0.160
0.500 0.000 0.660
0.660 0.500 0.000
0.840 0.840 0.840



Record 9
Dy3Cu20Sb11 (PBE, optimized geometry); formation energy from the elements = -22.43 kJ per mole of atoms; total energy after the MP2020 corrections = -298.3 eV/cell; final energy = -294.028 eV/cell; ρ = 8.54 g/cm3
1.0
0.000 8.446 8.446
8.446 0.000 8.446
8.446 8.446 0.000
Dy Cu Sb
6 40 22
Direct
0.241 0.241 0.759
0.241 0.759 0.241
0.241 0.759 0.759
0.759 0.241 0.241
0.759 0.241 0.759
0.759 0.759 0.241
0.017 0.253 0.253
0.017 0.253 0.476
0.017 0.476 0.253
0.253 0.017 0.253
0.253 0.017 0.476
0.253 0.253 0.017
0.253 0.253 0.476
0.253 0.476 0.017
0.253 0.476 0.253
0.346 0.551 0.551
0.383 0.619 0.999
0.383 0.999 0.619
0.383 0.999 0.999
0.476 0.017 0.253
0.476 0.253 0.017
0.476 0.253 0.253
0.525 0.746 0.746
0.525 0.746 0.982
0.525 0.982 0.746
0.551 0.346 0.551
0.551 0.551 0.346
0.551 0.551 0.551
0.619 0.383 0.999
0.619 0.999 0.383
0.619 0.999 0.999
0.746 0.525 0.746
0.746 0.525 0.982
0.746 0.746 0.525
0.746 0.746 0.982
0.746 0.982 0.525
0.746 0.982 0.746
0.982 0.525 0.746
0.982 0.746 0.525
0.982 0.746 0.746
0.999 0.383 0.619
0.999 0.383 0.999
0.999 0.619 0.383
0.999 0.619 0.999
0.999 0.999 0.383
0.999 0.999 0.619
0.102 0.102 0.102
0.102 0.102 0.694
0.102 0.694 0.102
0.188 0.499 0.499
0.188 0.499 0.814
0.188 0.814 0.499
0.250 0.250 0.250
0.306 0.898 0.898
0.499 0.188 0.499
0.499 0.188 0.814
0.499 0.499 0.188
0.499 0.499 0.814
0.499 0.814 0.188
0.499 0.814 0.499
0.694 0.102 0.102
0.750 0.750 0.750
0.814 0.188 0.499
0.814 0.499 0.188
0.814 0.499 0.499
0.898 0.306 0.898
0.898 0.898 0.306
0.898 0.898 0.898



Record 10
DyCuSe2 (PBE, optimized geometry); formation energy from the elements = -139.65 kJ per mole of atoms; maximum piezoelectric response = 0.5 C/m²; total energy after the MP2020 corrections = -21.5 eV/cell; final energy = -20.543 eV/cell; ρ = 6.83 g/cm3
1.0
4.098 0.000 0.000
-2.049 3.549 0.000
0.000 0.000 6.414
Dy Cu Se
1 1 2
Direct
0.000 0.000 0.000
0.667 0.333 0.622
0.333 0.667 0.724
0.667 0.333 0.237



Record 11
DyCu3Se3 (PBE, optimized geometry); formation energy from the elements = -90.18 kJ per mole of atoms; total energy after the MP2020 corrections = -67.9 eV/cell; final energy = -65.037 eV/cell; ρ = 7.05 g/cm3
1.0
3.498 2.019 6.561
-3.498 2.019 6.561
0.000 -4.039 6.561
Dy Cu Se
2 6 6
Direct
0.166 0.166 0.166
0.834 0.834 0.834
0.022 0.733 0.373
0.267 0.627 0.978
0.373 0.022 0.733
0.627 0.978 0.267
0.733 0.373 0.022
0.978 0.267 0.627
0.098 0.420 0.737
0.263 0.902 0.580
0.420 0.737 0.098
0.580 0.263 0.902
0.737 0.098 0.420
0.902 0.580 0.263



Record 12
Dy3CuSe6 (PBE, optimized geometry); formation energy from the elements = -163.27 kJ per mole of atoms; total energy after the MP2020 corrections = -223.3 eV/cell; final energy = -211.940 eV/cell; ρ = 7.25 g/cm3
1.0
7.749 0.000 0.000
0.000 7.091 0.000
0.000 0.000 17.081
Dy Cu Se
12 4 24
Direct
0.055 0.227 0.000
0.059 0.265 0.665
0.061 0.245 0.320
0.439 0.245 0.820
0.441 0.265 0.165
0.445 0.227 0.500
0.555 0.773 0.000
0.559 0.735 0.665
0.561 0.755 0.320
0.939 0.755 0.820
0.941 0.735 0.165
0.945 0.773 0.500
0.207 0.603 0.936
0.293 0.603 0.436
0.707 0.397 0.936
0.793 0.397 0.436
0.091 0.387 0.496
0.093 0.384 0.832
0.099 0.382 0.160
0.247 0.925 0.735
0.250 0.924 0.091
0.250 0.924 0.591
0.250 0.936 0.411
0.250 0.936 0.911
0.253 0.925 0.235
0.401 0.382 0.660
0.407 0.384 0.332
0.409 0.387 0.996
0.591 0.613 0.496
0.593 0.616 0.832
0.599 0.618 0.160
0.747 0.075 0.735
0.750 0.064 0.411
0.750 0.064 0.911
0.750 0.076 0.091
0.750 0.076 0.591
0.753 0.075 0.235
0.901 0.618 0.660
0.907 0.616 0.332
0.909 0.613 0.996



Record 13
Dy3CuSnSe7 (PBE, optimized geometry); formation energy from the elements = -147.94 kJ per mole of atoms; maximum piezoelectric response = 0.8 C/m²; total energy after the MP2020 corrections = -129.6 eV/cell; final energy = -122.991 eV/cell; ρ = 6.88 g/cm3
1.0
10.225 0.000 0.000
-5.113 8.855 0.000
0.000 0.000 6.519
Dy Cu Sn Se
6 2 2 14
Direct
0.154 0.797 0.000
0.203 0.358 0.000
0.358 0.154 0.500
0.642 0.846 0.000
0.797 0.642 0.500
0.846 0.203 0.500
0.000 0.000 0.106
0.000 0.000 0.606
0.333 0.667 0.429
0.667 0.333 0.929
0.078 0.520 0.245
0.119 0.854 0.575
0.146 0.265 0.575
0.265 0.119 0.075
0.333 0.667 0.821
0.442 0.922 0.245
0.480 0.558 0.245
0.520 0.442 0.745
0.558 0.078 0.745
0.667 0.333 0.321
0.735 0.881 0.575
0.854 0.735 0.075
0.881 0.146 0.075
0.922 0.480 0.745



Record 14
DyCuSi (PBE, optimized geometry); formation energy from the elements = -62.35 kJ per mole of atoms; total energy after the MP2020 corrections = -32.1 eV/cell; final energy = -32.282 eV/cell; ρ = 7.58 g/cm3
1.0
4.147 0.000 0.000
-2.074 3.592 0.000
0.000 0.000 7.472
Dy Cu Si
2 2 2
Direct
0.000 0.000 0.000
0.000 0.000 0.500
0.333 0.667 0.250
0.667 0.333 0.750
0.333 0.667 0.750
0.667 0.333 0.250



Record 15
DyCuSi (PBE, optimized geometry); formation energy from the elements = -59.04 kJ per mole of atoms; total energy after the MP2020 corrections = -16.0 eV/cell; final energy = -16.038 eV/cell; ρ = 7.45 g/cm3
1.0
4.069 0.000 0.000
-2.035 3.524 0.000
0.000 0.000 3.949
Dy Cu Si
1 1 1
Direct
0.000 0.000 0.000
0.333 0.667 0.500
0.667 0.333 0.500



Record 16
Dy3Cu4Si4 (PBE, optimized geometry); formation energy from the elements = -58.96 kJ per mole of atoms; total energy after the MP2020 corrections = -58.6 eV/cell; final energy = -58.924 eV/cell; ρ = 7.63 g/cm3
1.0
-2.071 3.271 6.856
2.071 -3.271 6.856
2.071 3.271 -6.856
Dy Cu Si
3 4 4
Direct
0.000 0.000 0.000
0.370 0.870 0.500
0.630 0.130 0.500
0.022 0.332 0.690
0.359 0.668 0.690
0.641 0.332 0.310
0.978 0.668 0.310
0.216 0.216 0.000
0.316 0.500 0.816
0.684 0.500 0.184
0.784 0.784 0.000



Record 17
DyCu5Sn (PBE, optimized geometry); formation energy from the elements = -24.76 kJ per mole of atoms; final energy = -123.634 eV/cell; ρ = 9.20 g/cm3
1.0
8.202 0.000 0.000
0.000 4.995 0.000
0.000 0.000 10.553
Dy Cu Sn
4 20 4
Direct
0.248 0.250 0.063
0.252 0.750 0.563
0.748 0.250 0.437
0.752 0.750 0.937
0.059 0.750 0.102
0.065 0.001 0.313
0.065 0.499 0.313
0.086 0.250 0.518
0.186 0.250 0.745
0.314 0.750 0.245
0.414 0.750 0.018
0.435 0.501 0.813
0.435 0.999 0.813
0.441 0.250 0.602
0.559 0.750 0.398
0.565 0.001 0.187
0.565 0.499 0.187
0.586 0.250 0.982
0.686 0.250 0.755
0.814 0.750 0.255
0.914 0.750 0.482
0.935 0.501 0.687
0.935 0.999 0.687
0.941 0.250 0.898
0.140 0.750 0.861
0.360 0.250 0.361
0.640 0.750 0.639
0.860 0.250 0.139